# 1
# LiVSi2O6

A relaxed structure of LiVSi2O6 (PBE with a Hubbard U, the Materials Project database).

Cell and atoms, written as extended XYZ:
```
30
Lattice="-2.8293 4.9439 4.6871 3.6187 -4.3194 4.9204 3.1105 5.9679 -2.0354" Properties=species:S:1:pos:R:3 pbc="T T T"
Li 3.3996 0.2492 3.7948
Li 1.9499 3.2962 3.7861
Li 0.5003 6.3431 3.7774
V 5.0321 3.5287 2.8168
V 0.3947 0.3122 4.8038
V -1.1322 3.0636 4.7554
Si 1.3161 1.0416 1.6806
Si 2.5600 3.8269 0.6289
Si 2.4465 -0.0026 7.2170
Si 1.4533 6.5950 0.3552
Si 1.3399 2.7655 6.9433
Si 2.5838 5.5507 5.8916
O 3.2565 -1.8286 3.5255
O 4.6970 1.7720 2.0445
O 1.7946 2.4697 1.0705
O -0.3436 1.0241 1.4123
O 1.5862 0.9659 3.2897
O 2.1275 -0.4974 5.6979
O 3.3706 4.4362 1.9233
O 3.8779 2.9475 4.4174
O 1.3444 4.9385 0.2931
O 2.5554 1.6538 7.2790
O 0.0219 3.6448 3.1548
O 0.5292 2.1561 5.6489
O 1.7724 7.0897 1.8743
O 2.3137 5.6265 4.2824
O 4.2434 5.5682 6.1598
O 2.1053 4.1227 6.5017
O -0.7971 4.8204 5.5277
O 0.6433 8.4209 4.0466
```

Summary:
- Total energy: -225.48 eV per cell
- Crystal system: triclinic
- Formation energy from the elements: -284 kJ/mol of atoms



# 2
# Li4V2SiO8

A relaxed structure of Li4V2SiO8 (PBE with a Hubbard U, the Materials Project database).

Cell and atoms, written as extended XYZ:
```
60
Lattice="-1.0296 1.3680 10.7987 -3.6208 -7.4157 0.5942 6.3896 -5.1124 1.2569" Properties=species:S:1:pos:R:3 pbc="T T T"
Li -1.5198 -2.5399 7.5813
Li -0.3533 -3.1030 2.2000
Li -2.4435 -6.6960 4.3434
Li -0.9728 -4.5120 5.1462
Li -0.8362 -3.6223 10.5817
Li 0.8092 -1.6705 9.5520
Li -0.9299 -5.7299 8.0129
Li 0.2313 -6.2859 2.6877
Li 1.5079 -4.8741 9.9621
Li 2.6691 -5.4301 4.6369
Li 0.9300 -9.4896 3.0978
Li 2.5754 -7.5378 2.0681
Li 2.7120 -6.6480 7.5035
Li 4.1828 -4.4641 8.3064
Li 2.0925 -8.0570 10.4498
Li 3.2590 -8.6201 5.0685
V -1.0085 -1.3996 4.6273
V -2.4704 -5.3207 1.4010
V 1.3506 -3.7292 7.0988
V 2.5172 -4.3954 1.7857
V -0.7780 -6.7647 10.8641
V 0.3886 -7.4308 5.5509
V 4.2096 -5.8393 11.2487
V 2.7477 -9.7605 8.0224
Si -3.6036 -6.0501 9.6568
Si 1.9748 -2.3236 4.1815
Si -0.2356 -8.8365 8.4683
Si 5.3428 -5.1099 2.9930
O 5.4521 -6.5934 2.2557
O -1.2242 -2.9966 3.9590
O 0.9028 -1.1092 4.4974
O -3.0049 -5.0086 5.1843
O -1.1709 -2.0604 9.4795
O -3.1579 -6.7514 2.4672
O -2.9780 -5.8088 8.1490
O -0.7376 -4.9875 1.5411
O -0.3854 -4.0583 6.9920
O 1.6351 -2.9448 2.6910
O 1.8612 -2.0637 7.8870
O -0.4758 -6.2896 4.5464
O 1.1645 -3.0840 10.8732
O -2.6380 -7.1232 10.4567
O 1.9100 -3.5758 5.2696
O -0.4041 -5.3777 9.8740
O 2.1433 -5.7823 2.7758
O -0.1708 -7.5843 7.3802
O 4.3773 -4.0369 2.1931
O 0.5747 -8.0760 1.7766
O 2.2150 -4.8705 8.1034
O -0.1220 -9.0964 4.7627
O 0.1042 -8.2153 9.9588
O 2.1246 -7.1018 5.6578
O 2.4768 -6.1725 11.1087
O 4.7172 -5.3513 4.5008
O 4.8971 -4.4087 10.1826
O 2.9101 -9.0997 3.1703
O 4.7442 -6.1515 7.4655
O 0.8364 -10.0509 8.1524
O 2.9634 -8.1634 8.6907
O -3.7129 -4.5667 10.3941
```

Summary:
- Total energy: -402.90 eV per cell
- Crystal system: monoclinic
- Formation energy from the elements: -250 kJ/mol of atoms



# 3
# Li2V2Si3O9

A relaxed structure of Li2V2Si3O9 (PBE with a Hubbard U, the Materials Project database).

Cell and atoms, written as extended XYZ:
```
96
Lattice="-0.3711 6.2309 7.9704 -1.7086 -9.9021 1.2322 12.1597 -1.8480 2.0109" Properties=species:S:1:pos:R:3 pbc="T T T"
Li 0.3088 -9.2367 2.8227
Li -1.2090 -6.2401 2.6095
Li 7.4124 -4.1937 3.8510
Li 9.9127 -3.0997 1.8813
Li 2.6565 -5.0613 6.0657
Li 8.0592 -0.3345 2.6724
Li 8.9373 -2.1662 4.3753
Li 4.3743 -4.0308 8.7708
Li -1.7075 -2.9964 7.7927
Li 5.1136 3.3142 6.7889
Li -0.1301 -1.0764 8.7162
Li 3.4616 4.0265 8.7359
V 4.4035 -7.2174 4.6916
V 1.0338 -4.1576 2.1355
V 8.6994 -4.9226 6.5719
V 2.3040 -1.6062 3.5567
V -0.6713 -1.0186 3.3550
V 9.8031 -0.0453 5.8816
V 1.0585 -1.1564 6.2473
V 5.5321 -1.4810 9.8960
V 2.6523 -0.8575 9.1511
V 7.8371 2.5712 6.6956
V 10.8294 2.4381 7.2121
V 5.3222 0.9296 8.1262
Si 9.4925 -10.2768 4.1004
Si 7.8493 -7.6842 4.9066
Si 9.8482 -5.4426 3.8786
Si 1.1581 -6.5036 3.9587
Si 6.7838 -2.6014 1.7880
Si 4.4206 -4.3951 2.9150
Si 5.1289 0.1352 2.3214
Si 5.3652 -4.6911 5.9313
Si -0.1486 -3.9120 5.2442
Si 4.3770 -1.8561 6.4526
Si 6.5181 -0.0954 5.1841
Si 1.2831 -3.9395 8.0764
Si 7.5688 -4.3018 9.2362
Si 9.9193 -2.3737 8.2695
Si 0.9946 1.6918 4.4199
Si 8.5309 0.2389 9.0050
Si 2.2169 1.8213 7.2097
Si 0.5368 4.3426 8.2093
O 3.8692 -8.4097 2.7330
O -1.0938 -8.3737 1.7569
O 9.0445 -8.6945 4.3508
O 1.3146 -6.4157 2.3282
O 4.5688 -5.7446 2.0161
O 9.2823 -5.0437 2.3739
O 6.4646 -7.8534 4.0721
O 11.1455 -6.3635 3.8580
O 0.0536 -7.7053 4.2402
O 8.5645 -6.2066 4.6516
O 5.8305 -3.5261 2.7898
O 2.4259 -6.5529 4.9187
O 8.1884 -2.4556 2.5598
O 3.1062 -3.4739 2.6580
O 7.7633 -7.8341 6.5256
O 0.3078 -5.0634 4.1371
O 9.7866 -4.0596 4.7586
O 0.7520 -1.8342 1.8790
O 6.0935 -1.0872 1.7305
O 4.5299 -4.9158 4.4888
O 3.5952 -0.3442 2.2998
O 6.8954 -4.3434 5.6686
O 4.9093 -6.1073 6.6222
O 10.4352 -5.8621 7.6400
O 10.6796 -1.2482 4.1265
O 0.3734 -2.5013 4.6208
O 0.8362 -4.3165 6.5189
O 4.5358 -3.5080 6.7410
O 5.7252 0.5398 3.8273
O 7.5812 -5.7595 8.4673
O 3.0459 -1.6045 5.5719
O 8.0155 -0.4923 4.7176
O 2.6177 -4.7958 8.3511
O 5.7042 -1.4545 5.5848
O 0.9688 0.0536 4.3118
O 10.1047 -1.9740 6.7182
O 8.6397 -3.4851 8.2499
O 11.7345 0.6049 6.5551
O -0.9902 -1.2519 6.9846
O 6.1748 -3.5483 9.5030
O 1.3247 -2.3273 8.2098
O 6.3804 1.0702 6.2900
O 4.4402 -1.1694 7.9425
O 8.3426 -4.5532 10.6894
O 1.9896 2.1661 5.6286
O 9.4151 -1.1243 9.1942
O 1.7924 0.3133 7.5928
O 9.0797 1.1011 7.7201
O 3.6978 2.3022 7.6495
O 6.9552 -0.1163 9.0459
O 6.3758 2.9695 8.2814
O 1.1080 2.7809 8.0598
O 11.4420 2.8561 9.2830
O 1.8046 5.3593 7.8442
```

Summary:
- Total energy: -707.21 eV per cell
- Crystal system: trigonal
- Formation energy from the elements: -269 kJ/mol of atoms